Compound: Sr3Fe2H12O12
Source: Materials Project
Functional: PBE with a Hubbard U
Structure: relaxed

Calculated values
- ΔE_f (eV/atom) = -0.663
- calculated volume (A^3/atom) = 13.26

Cell and atoms, written as POSCAR:
```
Sr3Fe2H12O12
1.0
-7.271 7.271 7.271
7.271 -7.271 7.271
7.271 7.271 -7.271
O H Sr Fe
48 48 12 8
Direct
0.672 0.613 0.120
0.887 0.828 0.380
0.052 0.493 0.880
0.441 0.448 0.328
0.828 0.948 0.941
0.880 0.052 0.493
0.828 0.380 0.887
0.172 0.052 0.059
0.552 0.672 0.559
0.552 0.380 0.993
0.613 0.120 0.672
0.441 0.493 0.113
0.328 0.387 0.880
0.559 0.552 0.672
0.559 0.507 0.887
0.113 0.172 0.620
0.448 0.328 0.441
0.672 0.559 0.552
0.113 0.441 0.493
0.493 0.113 0.441
0.887 0.559 0.507
0.620 0.007 0.448
0.948 0.941 0.828
0.387 0.007 0.059
0.620 0.113 0.172
0.172 0.620 0.113
0.493 0.880 0.052
0.120 0.672 0.613
0.007 0.059 0.387
0.059 0.172 0.052
0.052 0.059 0.172
0.448 0.620 0.007
0.941 0.828 0.948
0.507 0.887 0.559
0.948 0.507 0.120
0.613 0.993 0.941
0.380 0.887 0.828
0.120 0.948 0.507
0.380 0.993 0.552
0.328 0.441 0.448
0.993 0.552 0.380
0.993 0.941 0.613
0.880 0.328 0.387
0.941 0.613 0.993
0.059 0.387 0.007
0.387 0.880 0.328
0.507 0.120 0.948
0.007 0.448 0.620
0.721 0.435 0.255
0.221 0.966 0.286
0.466 0.721 0.786
0.565 0.745 0.279
0.214 0.534 0.279
0.534 0.279 0.214
0.279 0.214 0.534
0.180 0.935 0.214
0.721 0.786 0.466
0.745 0.966 0.180
0.034 0.820 0.255
0.435 0.680 0.714
0.935 0.221 0.755
0.320 0.286 0.565
0.786 0.820 0.065
0.565 0.320 0.286
0.255 0.721 0.435
0.034 0.714 0.779
0.820 0.065 0.786
0.966 0.180 0.745
0.755 0.320 0.534
0.245 0.065 0.779
0.786 0.466 0.721
0.435 0.255 0.721
0.966 0.286 0.221
0.245 0.680 0.466
0.065 0.786 0.820
0.714 0.435 0.680
0.180 0.745 0.966
0.779 0.245 0.065
0.680 0.466 0.245
0.935 0.214 0.180
0.214 0.180 0.935
0.779 0.034 0.714
0.755 0.935 0.221
0.286 0.565 0.320
0.680 0.714 0.435
0.820 0.255 0.034
0.320 0.534 0.755
0.286 0.221 0.966
0.745 0.279 0.565
0.255 0.034 0.820
0.714 0.779 0.034
0.466 0.245 0.680
0.534 0.755 0.320
0.221 0.755 0.935
0.065 0.779 0.245
0.279 0.565 0.745
0.250 0.375 0.125
0.750 0.125 0.375
0.625 0.250 0.875
0.125 0.375 0.750
0.250 0.875 0.625
0.875 0.750 0.625
0.375 0.125 0.250
0.625 0.875 0.750
0.125 0.250 0.375
0.375 0.750 0.125
0.875 0.625 0.250
0.750 0.625 0.875
0.000 0.500 0.000
0.000 0.000 0.000
0.500 0.500 0.000
0.500 0.500 0.500
0.000 0.500 0.500
0.500 0.000 0.000
0.500 0.000 0.500
0.000 0.000 0.500
```

Compound: KSrSmWO6
Source: Materials Project
Functional: PBE with a Hubbard U
Structure: relaxed

Calculated values
- ΔE_f (eV/atom) = -2.905
- calculated volume (A^3/atom) = 15.08

Cell and atoms, written as POSCAR:
```
KSrSmWO6
1.0
-7.716 -0.529 3.385
1.134 -8.265 1.294
3.240 1.642 7.643
K O W Sr Sm
4 24 4 4 4
Direct
0.500 0.000 0.000
0.000 0.000 0.500
0.500 0.500 0.000
0.000 0.500 0.500
0.272 0.021 0.224
0.521 0.723 0.234
0.228 0.479 0.276
0.979 0.223 0.734
0.214 0.274 0.020
0.021 0.777 0.734
0.521 0.277 0.766
0.728 0.979 0.224
0.479 0.723 0.766
0.214 0.726 0.980
0.786 0.726 0.020
0.979 0.777 0.266
0.728 0.021 0.776
0.786 0.274 0.980
0.228 0.521 0.724
0.772 0.479 0.724
0.286 0.226 0.480
0.479 0.277 0.234
0.286 0.774 0.520
0.714 0.774 0.480
0.272 0.979 0.776
0.714 0.226 0.520
0.021 0.223 0.266
0.772 0.521 0.276
0.250 0.750 0.750
0.250 0.250 0.250
0.750 0.250 0.750
0.750 0.750 0.250
0.000 0.500 0.000
0.500 0.000 0.500
0.000 0.000 0.000
0.500 0.500 0.500
0.750 0.750 0.750
0.250 0.750 0.250
0.250 0.250 0.750
0.750 0.250 0.250
```

Compound: Li3TiMn4O8
Source: Materials Project
Functional: PBE with a Hubbard U
Structure: relaxed

Calculated values
- ΔE_f (eV/atom) = -2.347
- calculated volume (A^3/atom) = 10.26

Cell and atoms, written as POSCAR:
```
Li3TiMn4O8
1.0
1.279 3.672 4.766
5.762 1.543 1.071
0.148 6.032 -8.929
Li O Mn Ti
6 16 8 2
Direct
0.509 0.490 0.493
0.491 0.010 0.007
0.000 0.750 0.250
0.988 0.999 0.503
0.000 0.250 0.750
0.012 0.501 0.997
0.221 0.636 0.637
0.727 0.638 0.610
0.726 0.899 0.378
0.752 0.088 0.627
0.258 0.134 0.133
0.273 0.862 0.890
0.274 0.601 0.122
0.742 0.366 0.367
0.271 0.879 0.385
0.729 0.148 0.110
0.779 0.864 0.864
0.270 0.352 0.390
0.736 0.387 0.889
0.265 0.113 0.611
0.248 0.412 0.873
0.729 0.621 0.115
0.500 0.250 0.250
0.008 0.995 0.002
0.992 0.505 0.498
0.500 0.750 0.750
0.500 0.250 0.750
0.000 0.250 0.250
0.000 0.750 0.750
0.500 0.750 0.250
0.517 0.507 0.000
0.483 0.993 0.500
```

Compound: NiP4O11
Source: Materials Project
Functional: PBE with a Hubbard U
Structure: relaxed

Calculated values
- ΔE_f (eV/atom) = -2.424
- calculated volume (A^3/atom) = 13.24

Cell and atoms, written as POSCAR:
```
NiP4O11
1.0
22.473 0.000 0.000
0.000 5.382 0.000
0.000 2.574 7.006
Ni P O
4 16 44
Direct
0.113 0.002 0.126
0.613 0.998 0.374
0.387 0.002 0.626
0.887 0.998 0.874
0.428 0.307 0.186
0.928 0.693 0.314
0.572 0.693 0.814
0.535 0.595 0.211
0.806 0.404 0.033
0.035 0.405 0.289
0.694 0.404 0.533
0.679 0.329 0.951
0.306 0.596 0.467
0.179 0.671 0.549
0.965 0.595 0.711
0.465 0.405 0.789
0.321 0.671 0.049
0.072 0.307 0.686
0.194 0.596 0.967
0.821 0.329 0.451
0.766 0.469 0.503
0.663 0.659 0.479
0.819 0.193 0.953
0.734 0.469 0.003
0.319 0.807 0.547
0.545 0.778 0.317
0.955 0.778 0.817
0.924 0.926 0.139
0.076 0.074 0.861
0.455 0.222 0.683
0.655 0.093 0.100
0.266 0.531 0.997
0.694 0.264 0.767
0.163 0.341 0.021
0.234 0.531 0.497
0.681 0.193 0.453
0.954 0.768 0.483
0.636 0.580 0.887
0.937 0.332 0.756
0.063 0.668 0.244
0.437 0.668 0.744
0.454 0.232 0.017
0.462 0.558 0.200
0.576 0.926 0.639
0.194 0.736 0.733
0.045 0.222 0.183
0.345 0.907 0.900
0.155 0.907 0.400
0.364 0.420 0.113
0.136 0.420 0.613
0.306 0.736 0.233
0.538 0.442 0.800
0.046 0.232 0.517
0.845 0.093 0.600
0.806 0.264 0.267
0.424 0.074 0.361
0.181 0.807 0.047
0.038 0.558 0.700
0.837 0.659 0.979
0.337 0.341 0.521
0.546 0.768 0.983
0.962 0.442 0.300
0.864 0.580 0.387
0.563 0.332 0.256
```

Compound: K10Co4O9
Source: Materials Project
Functional: PBE with a Hubbard U
Structure: relaxed

Calculated values
- ΔE_f (eV/atom) = -1.428
- calculated volume (A^3/atom) = 19.87

Cell and atoms, written as POSCAR:
```
K10Co4O9
1.0
-4.871 -0.327 -4.758
-2.639 -7.977 3.594
-1.007 7.673 4.921
K Co O
10 4 9
Direct
0.263 0.050 0.511
0.450 0.070 0.178
0.557 0.938 0.815
0.458 0.490 0.676
0.740 0.933 0.474
0.909 0.778 0.066
0.088 0.222 0.938
0.550 0.515 0.328
0.058 0.599 0.340
0.924 0.401 0.654
0.038 0.788 0.742
0.660 0.348 0.954
0.964 0.215 0.261
0.373 0.675 0.065
0.263 0.706 0.869
0.135 0.928 0.682
0.717 0.267 0.117
0.310 0.749 0.262
0.874 0.087 0.338
0.771 0.690 0.697
0.228 0.312 0.300
0.624 0.578 0.075
0.673 0.236 0.733
```

Compound: NaCo3O6
Source: Materials Project
Functional: PBE with a Hubbard U
Structure: relaxed

Calculated values
- ΔE_f (eV/atom) = -0.797
- calculated volume (A^3/atom) = 10.73

Cell and atoms, written as POSCAR:
```
NaCo3O6
1.0
4.794 0.000 0.000
2.255 4.765 0.000
1.972 1.673 4.696
Na Co O
1 3 6
Direct
0.436 0.169 0.191
0.728 0.468 0.316
0.024 0.682 0.644
0.124 0.936 0.002
0.188 0.282 0.849
0.669 0.572 0.642
0.816 0.788 0.992
0.874 0.075 0.381
0.354 0.797 0.654
0.283 0.588 0.309
```

- The highest ΔE_f belongs to which entry?
  Sr3Fe2H12O12

- Which of these has the highest ΔE_f?
  Sr3Fe2H12O12

- Among the records above, which one has the lowest ΔE_f?
  KSrSmWO6

- Among the records above, which one has the lowest ΔE_f?
  KSrSmWO6